Record 1
Material: GeBr2
Method: DFT, GGA-PBE
State: optimized geometry

a b c (Å): 6.755 6.755 4.130
angles (deg): 90.00 90.00 90.00
Space group P4_2/mnm (No. 136)
One atom of each set of equivalent atoms:
Ge (0.000, 0.000, 0.000) (multiplicity 2)
Br (0.202, 0.202, 0.500) (multiplicity 4)

Uncorrected energy (eV/atom): -3.17
Calculated volume (Å³/atom): 31.41
Formation enthalpy at 0 K (kJ/mol of formula units): -259

=====

Record 2
Material: KGeBr3
Method: DFT, GGA-PBE
State: optimized geometry

a b c (Å): 7.980 7.874 5.592
angles (deg): 90.00 91.36 90.00
Space group Cm (No. 8)
One atom of each set of equivalent atoms:
K (0.000, 0.000, 0.000) (multiplicity 2)
Ge (0.020, 0.500, 0.467) (multiplicity 2)
Br (0.242, 0.258, 0.487) (multiplicity 4)
Br (0.492, 0.000, 0.000) (multiplicity 2)

Largest piezoelectric modulus (C/m²): 1.3
Uncorrected energy (eV/atom): -3.17
Calculated volume (Å³/atom): 35.13
Formation enthalpy at 0 K (kJ/mol of formula units): -659

=====

Record 3
Material: KGeBr3
Method: DFT, GGA-PBE
State: optimized geometry

a b c (Å): 5.988 7.646 8.624
angles (deg): 90.00 110.25 90.00
Space group P2_1/m (No. 11)
One atom of each set of equivalent atoms:
K (0.161, 0.250, 0.314) (multiplicity 2)
Ge (0.405, 0.250, 0.882) (multiplicity 2)
Br (0.010, 0.750, 0.105) (multiplicity 2)
Br (0.334, 0.000, 0.676) (multiplicity 4)

Uncorrected energy (eV/atom): -3.20
Calculated volume (Å³/atom): 37.04
Formation enthalpy at 0 K (kJ/mol of formula units): -671

=====

Record 4
Material: Ge19P4Br4
Method: DFT, GGA-PBE
State: optimized geometry

a b c (Å): 10.573 10.573 10.573
angles (deg): 90.00 90.00 90.00
Space group P-43n (No. 218)
One atom of each set of equivalent atoms:
Ge (0.000, 0.250, 0.500) (multiplicity 6)
Ge (0.002, 0.118, 0.693) (multiplicity 24)
Ge (0.185, 0.185, 0.185) (multiplicity 8)
P (0.185, 0.185, 0.815) (multiplicity 8)
Br (0.000, 0.000, 0.000) (multiplicity 2)
Br (0.000, 0.500, 0.250) (multiplicity 6)

Uncorrected energy (eV/atom): -4.46
Calculated volume (Å³/atom): 21.89
Formation enthalpy at 0 K (kJ/mol of formula units): -633

=====

Record 5
Material: RbGeBr3
Method: DFT, GGA-PBE
State: optimized geometry

a b c (Å): 8.368 7.783 11.406
angles (deg): 90.00 90.00 90.00
Space group Pna2_1 (No. 33)
One atom of each set of equivalent atoms:
Rb (0.078, 0.025, 0.000) (multiplicity 4)
Ge (0.031, 0.516, 0.230) (multiplicity 4)
Br (0.001, 0.572, 0.009) (multiplicity 4)
Br (0.184, 0.793, 0.281) (multiplicity 4)
Br (0.219, 0.824, 0.712) (multiplicity 4)

Largest piezoelectric modulus (C/m²): 0.5
Uncorrected energy (eV/atom): -3.20
Calculated volume (Å³/atom): 37.14
Formation enthalpy at 0 K (kJ/mol of formula units): -684

=====

Record 6
Material: RbGeBr3
Method: DFT, GGA-PBE
State: optimized geometry

a b c (Å): 6.245 7.659 8.761
angles (deg): 90.00 107.33 90.00
Space group P2_1/m (No. 11)
One atom of each set of equivalent atoms:
Rb (0.172, 0.250, 0.299) (multiplicity 2)
Ge (0.428, 0.250, 0.874) (multiplicity 2)
Br (0.165, 0.750, 0.116) (multiplicity 2)
Br (0.315, 0.004, 0.675) (multiplicity 4)

Uncorrected energy (eV/atom): -3.19
Calculated volume (Å³/atom): 40.01
Formation enthalpy at 0 K (kJ/mol of formula units): -680

=====

Record 7
Material: Rb3Ge2Br7
Method: DFT, GGA-PBE
State: optimized geometry

a b c (Å): 10.414 13.036 13.509
angles (deg): 90.00 101.95 90.00
Space group P2_1/c (No. 14)
One atom of each set of equivalent atoms:
Rb (0.049, 0.177, 0.466) (multiplicity 4)
Rb (0.275, 0.685, 0.360) (multiplicity 4)
Rb (0.388, 0.193, 0.808) (multiplicity 4)
Ge (0.185, 0.010, 0.145) (multiplicity 4)
Ge (0.356, 0.549, 0.069) (multiplicity 4)
Br (0.089, 0.184, 0.199) (multiplicity 4)
Br (0.165, 0.059, 0.959) (multiplicity 4)
Br (0.185, 0.005, 0.673) (multiplicity 4)
Br (0.191, 0.559, 0.900) (multiplicity 4)
Br (0.278, 0.726, 0.613) (multiplicity 4)
Br (0.415, 0.150, 0.542) (multiplicity 4)
Br (0.429, 0.059, 0.198) (multiplicity 4)

Uncorrected energy (eV/atom): -3.18
Calculated volume (Å³/atom): 37.38
Formation enthalpy at 0 K (kJ/mol of formula units): -1758

=====

Record 8
Material: Ge2S3Br2
Method: DFT, GGA-PBE
State: optimized geometry

a b c (Å): 9.433 10.570 10.737
angles (deg): 93.63 115.92 90.03
Space group P-1 (No. 2)
One atom of each set of equivalent atoms:
Ge (0.129, 0.303, 0.330) (multiplicity 2)
Ge (0.139, 0.771, 0.009) (multiplicity 2)
Ge (0.196, 0.514, 0.823) (multiplicity 2)
Ge (0.239, 0.818, 0.743) (multiplicity 2)
S (0.012, 0.175, 0.418) (multiplicity 2)
S (0.059, 0.506, 0.330) (multiplicity 2)
S (0.121, 0.227, 0.127) (multiplicity 2)
S (0.235, 0.575, 0.040) (multiplicity 2)
S (0.281, 0.906, 0.952) (multiplicity 2)
S (0.343, 0.626, 0.748) (multiplicity 2)
Br (0.172, 0.847, 0.227) (multiplicity 2)
Br (0.288, 0.311, 0.836) (multiplicity 2)
Br (0.378, 0.949, 0.669) (multiplicity 2)
Br (0.394, 0.307, 0.485) (multiplicity 2)

Uncorrected energy (eV/atom): -4.01
Calculated volume (Å³/atom): 34.30
Formation enthalpy at 0 K (kJ/mol of formula units): -548

=====

Record 9
Material: HBr
Method: DFT, GGA-PBE
State: optimized geometry

a b c (Å): 3.354 8.078 8.509
angles (deg): 90.00 90.00 90.00
Space group Fmmm (No. 69)
One atom of each set of equivalent atoms:
H (0.000, 0.000, 0.000) (multiplicity 4)
Br (0.000, 0.000, 0.500) (multiplicity 4)

Uncorrected energy (eV/atom): -2.46
Calculated volume (Å³/atom): 28.81
Formation enthalpy at 0 K (kJ/mol of formula units): -40

=====

Record 10
Material: HBr
Method: DFT, GGA-PBE
State: optimized geometry

a b c (Å): 3.354 4.373 4.573
angles (deg): 81.92 68.49 67.45
Space group P1 (No. 1)
One atom of each set of equivalent atoms:
H (0.000, 0.000, 0.000) (multiplicity 1)
Br (0.509, 0.996, 0.008) (multiplicity 1)

Uncorrected energy (eV/atom): -2.47
Calculated volume (Å³/atom): 28.81
Formation enthalpy at 0 K (kJ/mol of formula units): -43

=====

Record 11
Material: HBr
Method: DFT, GGA-PBE
State: optimized geometry

a b c (Å): 7.327 5.571 5.540
angles (deg): 90.00 90.00 90.00
Space group Cmc2_1 (No. 36)
One atom of each set of equivalent atoms:
H (0.000, 0.059, 0.000) (multiplicity 4)
Br (0.000, 0.233, 0.199) (multiplicity 4)

Largest piezoelectric modulus (C/m²): 0.2
Uncorrected energy (eV/atom): -2.77
Calculated volume (Å³/atom): 28.27
Formation enthalpy at 0 K (kJ/mol of formula units): -100

=====

Record 12
Material: HBr
Method: DFT, GGA-PBE
State: optimized geometry

a b c (Å): 5.848 6.033 6.254
angles (deg): 90.00 90.00 90.00
Space group P2_12_12_1 (No. 19)
One atom of each set of equivalent atoms:
H (0.054, 0.127, 0.172) (multiplicity 4)
Br (0.244, 0.255, 0.252) (multiplicity 4)

Largest piezoelectric modulus (C/m²): 2.0
Uncorrected energy (eV/atom): -2.74
Calculated volume (Å³/atom): 27.58
Formation enthalpy at 0 K (kJ/mol of formula units): -96